Na2Mn2O3, optimized geometry, DFT PBE+U; polymorph energy (0 for the lowest one) = 0.035 eV per atom; energy of formation = -1.765 eV/atom; mass density = 3296 kg/m3; uncorrected energy = -6.110 eV per atom; symmetry = P2_1/c; energy with MP2020 corrections = -6.881 eV/atom
1.0
4.5666 2.2687 2.9586
-1.1584 -5.9208 0.9893
3.8677 -1.5549 -4.7774
Na Mn O
4 4 6
Direct
0.9237 0.2118 0.6460
0.4237 0.2118 0.8540
0.5763 0.7883 0.1460
0.0763 0.7883 0.3540
0.9561 0.6794 0.8794
0.4561 0.6794 0.6206
0.5439 0.3206 0.3794
0.0439 0.3206 0.1206
0.5000 0.0000 0.5000
0.0000 0.0000 0.0000
0.7401 0.4124 0.1013
0.7599 0.5876 0.6013
0.2401 0.4124 0.3987
0.2599 0.5876 0.8987